CrP2H16N3O10 | GGA+U | relaxed

Results
- E (eV per atom) = -5.754
- excess energy over the best structure of this formula in the dataset (eV/atom) = 0.000

```
data_CrP2H16N3O10
_cell_length_a 10.2046
_cell_length_b 7.9916
_cell_length_c 15.4045
_cell_angle_alpha 75.52
_cell_angle_beta 90.00
_cell_angle_gamma 90.00
_symmetry_space_group_name_H-M 'P 1'
_symmetry_Int_Tables_number 1
loop_
_symmetry_equiv_pos_as_xyz
'x,y,z'
loop_
_atom_site_label
_atom_site_type_symbol
_atom_site_fract_x
_atom_site_fract_y
_atom_site_fract_z
_atom_site_occupancy
Cr1 Cr 0.6896 0.6556 0.5680 1
Cr2 Cr 0.1896 0.3444 0.9320 1
Cr3 Cr 0.3104 0.3444 0.4320 1
Cr4 Cr 0.8104 0.6556 0.0680 1
P1 P 0.7773 0.3086 0.5041 1
P2 P 0.2773 0.6914 0.9959 1
P3 P 0.2227 0.6914 0.4959 1
P4 P 0.7227 0.3086 0.0041 1
P5 P 0.8873 0.3513 0.6744 1
P6 P 0.3873 0.6487 0.8256 1
P7 P 0.1127 0.6487 0.3256 1
P8 P 0.6127 0.3513 0.1744 1
H1 H 0.0634 0.4911 0.6089 1
H2 H 0.5634 0.5089 0.8911 1
H3 H 0.9366 0.5089 0.3911 1
H4 H 0.4366 0.4911 0.1089 1
H5 H 0.4610 0.8119 0.4942 1
H6 H 0.9610 0.1881 0.0058 1
H7 H 0.5390 0.1881 0.5058 1
H8 H 0.0390 0.8119 0.9942 1
H9 H 0.5732 0.8290 0.4140 1
H10 H 0.0732 0.1710 0.0860 1
H11 H 0.4268 0.1710 0.5860 1
H12 H 0.9268 0.8290 0.9140 1
H13 H 0.7325 0.8058 0.7031 1
H14 H 0.2325 0.1942 0.7969 1
H15 H 0.2675 0.1942 0.2969 1
H16 H 0.7675 0.8058 0.2031 1
H17 H 0.5802 0.8470 0.6680 1
H18 H 0.0802 0.1530 0.8320 1
H19 H 0.4198 0.1530 0.3320 1
H20 H 0.9198 0.8470 0.1680 1
H21 H 0.7001 0.9589 0.6092 1
H22 H 0.2001 0.0411 0.8908 1
H23 H 0.2999 0.0411 0.3908 1
H24 H 0.7999 0.9589 0.1092 1
H25 H 0.4704 0.6022 0.6633 1
H26 H 0.9704 0.3978 0.8367 1
H27 H 0.5296 0.3978 0.3367 1
H28 H 0.0296 0.6022 0.1633 1
H29 H 0.4738 0.4748 0.5944 1
H30 H 0.9738 0.5252 0.9056 1
H31 H 0.5262 0.5252 0.4056 1
H32 H 0.0262 0.4748 0.0944 1
H33 H 0.5570 0.4205 0.6915 1
H34 H 0.0570 0.5795 0.8085 1
H35 H 0.4430 0.5795 0.3085 1
H36 H 0.9430 0.4205 0.1915 1
H37 H 0.9279 0.7816 0.5144 1
H38 H 0.4279 0.2184 0.9856 1
H39 H 0.0721 0.2184 0.4856 1
H40 H 0.5721 0.7816 0.0144 1
H41 H 0.8367 0.7794 0.4271 1
H42 H 0.3367 0.2206 0.0729 1
H43 H 0.1633 0.2206 0.5729 1
H44 H 0.6633 0.7794 0.9271 1
H45 H 0.8127 0.9366 0.4788 1
H46 H 0.3127 0.0634 0.0212 1
H47 H 0.1873 0.0634 0.5212 1
H48 H 0.6873 0.9366 0.9788 1
H49 H 0.5265 0.8678 0.2667 1
H50 H 0.0265 0.1322 0.2333 1
H51 H 0.4735 0.1322 0.7333 1
H52 H 0.9735 0.8678 0.7667 1
H53 H 0.6148 0.0149 0.2904 1
H54 H 0.1148 0.9851 0.2096 1
H55 H 0.3852 0.9851 0.7096 1
H56 H 0.8852 0.0149 0.7904 1
H57 H 0.6978 0.2021 0.7870 1
H58 H 0.1978 0.7979 0.7130 1
H59 H 0.3022 0.7979 0.2130 1
H60 H 0.8022 0.2021 0.2870 1
H61 H 0.5907 0.2387 0.8513 1
H62 H 0.0907 0.7613 0.6487 1
H63 H 0.4093 0.7613 0.1487 1
H64 H 0.9093 0.2387 0.3513 1
N1 N 0.6746 0.8373 0.6470 1
N2 N 0.1746 0.1627 0.8530 1
N3 N 0.3254 0.1627 0.3530 1
N4 N 0.8254 0.8373 0.1470 1
N5 N 0.5301 0.5214 0.6384 1
N6 N 0.0301 0.4786 0.8616 1
N7 N 0.4699 0.4786 0.3616 1
N8 N 0.9699 0.5214 0.1384 1
N9 N 0.8347 0.8078 0.4884 1
N10 N 0.3347 0.1922 0.0116 1
N11 N 0.1653 0.1922 0.5116 1
N12 N 0.6653 0.8078 0.9884 1
O1 O 0.7021 0.4793 0.4954 1
O2 O 0.2021 0.5207 0.0046 1
O3 O 0.2979 0.5207 0.5046 1
O4 O 0.7979 0.4793 0.9954 1
O5 O 0.6917 0.1610 0.4918 1
O6 O 0.1917 0.8390 0.0082 1
O7 O 0.3083 0.8390 0.5082 1
O8 O 0.8083 0.1610 0.9918 1
O9 O 0.9032 0.3347 0.4475 1
O10 O 0.4032 0.6653 0.0525 1
O11 O 0.0968 0.6653 0.5525 1
O12 O 0.5968 0.3347 0.9475 1
O13 O 0.8233 0.2424 0.6102 1
O14 O 0.3233 0.7576 0.8898 1
O15 O 0.1767 0.7576 0.3898 1
O16 O 0.6767 0.2424 0.1102 1
O17 O 0.8230 0.5297 0.6553 1
O18 O 0.3230 0.4703 0.8447 1
O19 O 0.1770 0.4703 0.3447 1
O20 O 0.6770 0.5297 0.1553 1
O21 O 0.8711 0.2401 0.7691 1
O22 O 0.3711 0.7599 0.7309 1
O23 O 0.1289 0.7599 0.2309 1
O24 O 0.6289 0.2401 0.2691 1
O25 O 0.0378 0.3715 0.6514 1
O26 O 0.5378 0.6285 0.8486 1
O27 O 0.9622 0.6285 0.3486 1
O28 O 0.4622 0.3715 0.1514 1
O29 O 0.5572 0.7937 0.4811 1
O30 O 0.0572 0.2063 0.0189 1
O31 O 0.4428 0.2063 0.5189 1
O32 O 0.9428 0.7937 0.9811 1
O33 O 0.5979 0.8883 0.3067 1
O34 O 0.0979 0.1117 0.1933 1
O35 O 0.4021 0.1117 0.6933 1
O36 O 0.9021 0.8883 0.8067 1
O37 O 0.6014 0.1987 0.7959 1
O38 O 0.1014 0.8013 0.7041 1
O39 O 0.3986 0.8013 0.2041 1
O40 O 0.8986 0.1987 0.2959 1
```